w | Below is an optimized crystal structure of Mg6FeSb, with properties calculated at the PBE-GGA level. Values from VASP.

Quantum ESPRESSO input file:
```
&SYSTEM
  ibrav = 0, nat = 16, ntyp = 3
/
ATOMIC_SPECIES
Sb 121.76 Sb.upf
Mg 24.30 Mg.upf
Fe 55.84 Fe.upf
CELL_PARAMETERS angstrom
4.847 0.000 0.000
0.000 6.091 0.000
0.000 0.000 10.542
ATOMIC_POSITIONS crystal
Sb 0.000 0.500 0.832
Sb 0.000 0.000 0.332
Mg 0.000 0.748 0.083
Mg 0.500 0.732 0.414
Mg 0.500 0.000 0.162
Mg 0.500 0.000 0.675
Mg 0.500 0.500 0.662
Mg 0.000 0.752 0.583
Mg 0.500 0.268 0.414
Mg 0.000 0.248 0.583
Mg 0.500 0.232 0.914
Mg 0.500 0.500 0.175
Mg 0.000 0.252 0.083
Mg 0.500 0.768 0.914
Fe 0.000 0.000 0.835
Fe 0.000 0.500 0.335
```

***

x | Below is an optimized crystal structure of Mg6FeSb, with properties calculated at the PBE-GGA level. Values from VASP.

Quantum ESPRESSO input file:
```
&SYSTEM
  ibrav = 0, nat = 16, ntyp = 3
/
ATOMIC_SPECIES
Sb 121.76 Sb.upf
Mg 24.30 Mg.upf
Fe 55.84 Fe.upf
CELL_PARAMETERS angstrom
4.849 0.000 0.000
0.000 6.267 0.000
0.000 0.000 10.529
ATOMIC_POSITIONS crystal
Sb 0.500 0.500 0.176
Sb 0.500 0.000 0.676
Mg 0.000 0.500 0.836
Mg 0.000 0.742 0.582
Mg 0.500 0.236 0.912
Mg 0.500 0.264 0.412
Mg 0.000 0.242 0.082
Mg 0.500 0.000 0.170
Mg 0.500 0.764 0.912
Mg 0.000 0.758 0.082
Mg 0.000 0.258 0.582
Mg 0.000 0.000 0.336
Mg 0.500 0.736 0.412
Mg 0.500 0.500 0.670
Fe 0.000 0.500 0.332
Fe 0.000 0.000 0.832
```

***

What is the most stable structure shown above? It is x.